# 1
Compound: La7SmCr2Fe6O20
Source: the Materials Project
Functional: PBE with a Hubbard U
Structure: relaxed

Output
symmetry = No. 1
crystal system = triclinic

abc: 11.0773 11.6914 17.9074
angles: 70.97 72.02 89.97
Positions (direct):
La  0.0000  0.0000  0.0000
La  0.0002  0.4995  0.4987
La  0.0044  0.0030  0.4978
La  0.1102  0.0985  0.7721
La  0.1142  0.0971  0.2760
La  0.1147  0.5962  0.2744
La  0.2497  0.2342  0.9997
La  0.2524  0.7331  0.9977
La  0.2523  0.7342  0.4990
La  0.2551  0.2372  0.4960
La  0.3612  0.3636  0.7707
La  0.3626  0.8645  0.7734
La  0.3640  0.8627  0.2747
La  0.3694  0.3654  0.2723
La  0.5000  0.0000  0.9994
La  0.5016  0.9993  0.4964
La  0.5050  0.5028  0.4973
La  0.6132  0.0951  0.2747
La  0.6144  0.5961  0.7721
La  0.6179  0.5963  0.2742
La  0.7490  0.2348  0.9995
La  0.7513  0.2331  0.4986
La  0.7527  0.7328  0.9981
La  0.7532  0.7350  0.4982
La  0.8634  0.8603  0.2761
La  0.8663  0.3598  0.2755
La  0.8657  0.8645  0.7727
La  0.9988  0.5004  0.9974
Sm  0.1082  0.5934  0.7738
Sm  0.4992  0.5042  0.9971
Sm  0.6111  0.0937  0.7737
Sm  0.8624  0.3657  0.7726
Cr  0.0604  0.2987  0.8848
Cr  0.3114  0.5477  0.8849
Cr  0.3118  0.0499  0.8852
Cr  0.3133  0.5507  0.3860
Cr  0.5618  0.2990  0.8846
Cr  0.5618  0.7997  0.8853
Cr  0.8101  0.5482  0.8849
Cr  0.8109  0.0518  0.8845
Fe  0.0641  0.7992  0.3865
Fe  0.0650  0.2996  0.3866
Fe  0.0647  0.7989  0.8845
Fe  0.1693  0.4023  0.6365
Fe  0.1713  0.9001  0.6365
Fe  0.1707  0.9008  0.1386
Fe  0.1734  0.4012  0.1371
Fe  0.3136  0.0499  0.3858
Fe  0.4191  0.6959  0.6357
Fe  0.4215  0.1977  0.1364
Fe  0.4225  0.6953  0.1350
Fe  0.4251  0.1967  0.6337
Fe  0.5635  0.7974  0.3858
Fe  0.5654  0.2989  0.3859
Fe  0.6696  0.4013  0.1373
Fe  0.6711  0.9001  0.1375
Fe  0.6722  0.9031  0.6350
Fe  0.6741  0.3992  0.6356
Fe  0.8138  0.0465  0.3861
Fe  0.8155  0.5473  0.3865
Fe  0.9188  0.1973  0.6360
Fe  0.9206  0.1949  0.1383
Fe  0.9233  0.6945  0.1359
Fe  0.9247  0.6954  0.6343
O  0.0101  0.6848  0.5237
O  0.0117  0.1891  0.5251
O  0.0148  0.6866  0.0239
O  0.0163  0.1806  0.0306
O  0.1490  0.4120  0.2478
O  0.1502  0.9112  0.2486
O  0.1530  0.9130  0.7468
O  0.1630  0.4199  0.7424
O  0.1715  0.9197  0.4084
O  0.1732  0.4164  0.9062
O  0.1748  0.4208  0.4084
O  0.1758  0.9177  0.9063
O  0.1945  0.1812  0.8645
O  0.1953  0.6777  0.8613
O  0.1989  0.1862  0.3645
O  0.1989  0.6831  0.3641
O  0.2233  0.7246  0.6414
O  0.2280  0.2278  0.1369
O  0.2277  0.7287  0.1354
O  0.2306  0.2303  0.6347
O  0.2584  0.0229  0.5265
O  0.2647  0.5257  0.5306
O  0.2678  0.0237  0.0312
O  0.2761  0.5230  0.0314
O  0.3997  0.0760  0.2468
O  0.4073  0.5732  0.2420
O  0.4184  0.5717  0.7404
O  0.4214  0.0747  0.7396
O  0.4210  0.9085  0.4089
O  0.4236  0.4088  0.9110
O  0.4242  0.9107  0.9059
O  0.4270  0.4138  0.4072
O  0.4429  0.6872  0.8667
O  0.4470  0.1880  0.3642
O  0.4483  0.6866  0.3635
O  0.4493  0.1878  0.8604
O  0.4770  0.8690  0.6356
O  0.4783  0.8678  0.1366
O  0.4797  0.3739  0.1302
O  0.4822  0.3690  0.6343
O  0.5104  0.1853  0.5233
O  0.5097  0.6875  0.5248
O  0.5190  0.1775  0.0303
O  0.5197  0.6791  0.0284
O  0.6469  0.4097  0.2482
O  0.6477  0.9102  0.2480
O  0.6626  0.9194  0.7415
O  0.6697  0.4161  0.9105
O  0.6726  0.9118  0.4091
O  0.6737  0.9199  0.9050
O  0.6764  0.4218  0.7393
O  0.6778  0.4138  0.4079
O  0.6934  0.6797  0.8665
O  0.6964  0.1784  0.3644
O  0.6988  0.1863  0.8563
O  0.6987  0.6808  0.3629
O  0.7225  0.2228  0.6403
O  0.7271  0.2284  0.1373
O  0.7312  0.7287  0.1352
O  0.7309  0.7301  0.6355
O  0.7597  0.5223  0.5252
O  0.7625  0.0227  0.5242
O  0.7681  0.0243  0.0306
O  0.7712  0.5220  0.0307
O  0.8987  0.0728  0.2479
O  0.9014  0.5730  0.2462
O  0.9151  0.0726  0.7401
O  0.9207  0.5722  0.7401
O  0.9228  0.9081  0.4085
O  0.9238  0.4107  0.9040
O  0.9242  0.9127  0.9067
O  0.9245  0.4060  0.4102
O  0.9446  0.1935  0.8592
O  0.9476  0.6834  0.8628
O  0.9491  0.1875  0.3621
O  0.9489  0.6848  0.3641
O  0.9738  0.3682  0.6401
O  0.9789  0.8671  0.1369
O  0.9792  0.8689  0.6349
O  0.9803  0.3692  0.1360

# 2
Compound: Li4Mn2Cr3Fe3O16
Source: the Materials Project
Functional: PBE with a Hubbard U
Structure: relaxed

Output
symmetry = No. 8
crystal system = monoclinic

abc: 5.8993 5.8993 9.4446
angles: 90.75 90.75 59.83
Positions (direct):
Li  0.0000  0.0000  0.0000
Li  0.0027  0.0027  0.5006
Li  0.3331  0.3331  0.5978
Li  0.6674  0.6674  0.0973
Mn  0.3340  0.3340  0.0115
Mn  0.6673  0.6673  0.5111
Cr  0.1718  0.6579  0.2822
Cr  0.6579  0.1718  0.2822
Cr  0.8289  0.8289  0.7825
Fe  0.1693  0.1693  0.2816
Fe  0.3393  0.8290  0.7829
Fe  0.8290  0.3393  0.7829
O  0.0440  0.4795  0.1495
O  0.1697  0.1697  0.8970
O  0.1702  0.6631  0.8985
O  0.3363  0.3363  0.3911
O  0.3372  0.8337  0.3974
O  0.4795  0.0440  0.1495
O  0.4796  0.4796  0.1547
O  0.5228  0.5228  0.6466
O  0.5249  0.9579  0.6483
O  0.6631  0.1702  0.8985
O  0.6685  0.6685  0.8908
O  0.8337  0.3372  0.3974
O  0.8355  0.8355  0.3938
O  0.9579  0.5249  0.6483
O  0.9977  0.9977  0.1875
O  0.9981  0.9981  0.6883

Table of size of the total moment (μB per cell), in record order: 128.00 28.00
Table of ΔE_f (eV per atom), in record order: -2.755 -1.984